Record 1
Sr2CeHfO6: optimized geometry, PBE.

Magnetization: 0.00 μB per atom
V: 610.56 Å³/cell
E_form: -36.68 eV per formula unit
Total energy: -326.06 eV per cell
Space-group type: Pn-3, No. 201
ΔE to the lowest computed polymorph: 0.0 meV/atom

extended XYZ file:
```
40
Lattice="-1.872 -3.582 -7.459 -1.204 -7.448 3.878 -8.187 1.914 1.135" Properties=species:S:1:pos:R:3 pbc="T T T"
O -7.369 -3.835 3.604
O -0.857 -2.547 -1.318
O -2.365 -8.449 -2.242
O -3.690 -5.912 -3.055
O -7.343 -1.540 -5.070
O -5.418 -5.059 1.720
O -4.298 -7.114 -0.417
O -6.997 -2.067 -2.163
O -7.651 -6.258 0.187
O -2.736 -0.261 -1.184
O -6.341 -7.139 -2.561
O -5.990 -4.023 -4.146
O -5.016 -9.676 -1.748
O -4.408 -8.475 -4.387
O -9.699 -2.203 -3.401
O -8.346 -4.686 -2.476
O -3.577 -2.794 -2.499
O -7.593 -3.337 0.679
O -7.428 -6.756 3.111
O -2.054 -1.764 1.276
O -2.895 -4.297 -0.039
O -4.774 -2.011 0.095
O -9.602 -5.034 2.070
O -8.692 -4.159 -5.384
Sr 0.000 0.000 0.000
Sr -0.602 -3.724 1.939
Sr -5.029 -0.834 -3.162
Sr -5.631 -4.558 -1.223
Sr -4.093 0.957 0.568
Sr -1.538 -5.515 -1.790
Sr -0.936 -1.791 -3.730
Sr -4.695 -2.767 2.507
Hf -4.353 -7.794 -2.402
Hf -7.844 -3.113 -3.773
Hf -7.510 -5.046 1.895
Hf -2.815 -2.279 -0.611
Ce -3.751 -4.070 -4.341
Ce -3.417 -6.003 1.328
Ce -6.909 -1.322 -0.044
Ce -8.446 -6.837 -1.834
```

---

Record 2
KEuSnBiO6: optimized geometry, PBE.

Magnetization: 0.67 μB per atom
V: 150.03 Å³/cell
E_form: -20.31 eV per formula unit
Total energy: -65.14 eV per cell
Space-group type: F-43m, No. 216

extended XYZ file:
```
10
Lattice="2.716 1.036 -5.208 -1.848 4.470 -3.489 3.397 4.855 -0.678" Properties=species:S:1:pos:R:3 pbc="T T T"
Sn 2.132 5.181 -4.688
Bi 0.000 0.000 0.000
O 1.510 5.341 -6.661
O 4.091 5.531 -5.277
O 1.845 7.220 -4.431
O 2.755 5.021 -2.714
O 0.174 4.831 -4.098
O 2.419 3.142 -4.944
Eu 3.198 7.771 -7.031
K 1.066 2.590 -2.344
```

---

Record 3
K6NbAs3O: optimized geometry, PBE.

Magnetization: 0.00 μB per atom
V: 1392.74 Å³/cell
E_form: -9.34 eV per formula unit
Total energy: -177.36 eV per cell
Space-group type: P2_13, No. 198

extended XYZ file:
```
44
Lattice="11.168 0.000 0.000 0.000 11.168 0.000 0.000 0.000 11.168" Properties=species:S:1:pos:R:3 pbc="T T T"
K 3.555 9.138 7.613
K 2.396 9.665 10.767
K 10.767 2.396 9.665
K 1.503 5.184 3.187
K 9.138 7.613 3.555
K 5.184 3.187 1.503
K 1.700 9.468 3.884
K 7.116 1.532 4.051
K 7.087 0.400 7.980
K 8.771 4.081 5.984
K 7.613 3.555 9.138
K 3.884 1.700 9.468
K 2.029 2.029 2.029
K 5.984 8.771 4.081
K 4.081 5.984 8.771
K 9.635 9.635 9.635
K 1.532 4.051 7.116
K 7.980 7.087 0.400
K 3.187 1.503 5.184
K 4.051 7.116 1.532
K 9.665 10.767 2.396
K 0.400 7.980 7.087
K 9.468 3.884 1.700
K 7.284 7.284 7.284
Nb 6.366 10.386 0.782
Nb 10.386 0.782 6.366
Nb 0.782 6.366 10.386
Nb 4.802 4.802 4.802
As 2.169 4.318 10.946
As 4.318 10.946 2.169
As 6.849 5.362 3.415
As 1.266 0.222 7.753
As 10.946 2.169 4.318
As 0.222 7.753 1.266
As 5.362 3.415 6.849
As 7.753 1.266 0.222
As 9.902 5.805 8.998
As 3.415 6.849 5.362
As 5.805 8.998 9.902
As 8.998 9.902 5.805
O 9.313 1.855 7.438
O 1.855 7.438 9.313
O 3.729 3.729 3.729
O 7.438 9.313 1.855
```

---

Record 4
LiAl: optimized geometry, PBE.

Magnetization: 0.00 μB per atom
V: 148.75 Å³/cell
E_form: -0.18 eV per formula unit
Total energy: -23.35 eV per cell
Space-group type: P6_3/mmc, No. 194

extended XYZ file:
```
8
Lattice="-2.234 -3.869 0.000 -2.234 3.869 0.000 0.000 0.000 -8.604" Properties=species:S:1:pos:R:3 pbc="T T T"
Al -2.234 1.290 -2.151
Al 0.000 0.000 -2.151
Al -2.234 -1.290 -6.453
Al 0.000 0.000 -6.453
Li -2.234 1.290 -5.022
Li -2.234 -1.290 -3.583
Li -2.234 1.290 -7.885
Li -2.234 -1.290 -0.719
```